Density functional theory data (r²SCAN) for a geometry-optimized Ca2GaCu2 structure.

abc: 5.641 5.641 5.641
angles: 135.39 123.47 74.72
Positions (direct):
Ca1 0.195 0.195 0.000
Ca2 0.805 0.805 0.000
Ga1 0.500 0.000 0.500
Cu1 0.246 0.500 0.746
Cu2 0.754 0.500 0.254

Computed properties:
ΔE_f = -292 meV/atom
symmetry = Immm
raw total energy = -9.735 eV per atom



Density functional theory data (r²SCAN) for a geometry-optimized CaGaCu structure.

abc: 5.493 5.493 7.205
angles: 128.55 128.55 47.47
Positions (direct):
Ca1 0.056 0.056 0.309
Ca2 0.944 0.944 0.691
Ga1 0.330 0.330 0.897
Ga2 0.670 0.670 0.103
Cu1 0.336 0.336 0.267
Cu2 0.664 0.664 0.733

Computed properties:
ΔE_f = -361 meV/atom
symmetry = C2/m
raw total energy = -10.137 eV per atom



Density functional theory data (r²SCAN) for a geometry-optimized CaCuGe structure.

abc: 21.267 4.338 7.422
angles: 90.00 90.00 90.00
Positions (direct):
Ca1 0.002 0.250 0.214
Ca2 0.166 0.250 0.293
Ca3 0.167 0.750 0.705
Ca4 0.333 0.250 0.205
Ca5 0.334 0.750 0.793
Ca6 0.498 0.750 0.714
Ca7 0.502 0.250 0.286
Ca8 0.666 0.250 0.207
Ca9 0.667 0.750 0.795
Ca10 0.833 0.250 0.295
Ca11 0.834 0.750 0.707
Ca12 0.998 0.750 0.786
Cu1 0.063 0.750 0.419
Cu2 0.098 0.250 0.916
Cu3 0.235 0.250 0.911
Cu4 0.265 0.750 0.411
Cu5 0.402 0.750 0.416
Cu6 0.437 0.250 0.919
Cu7 0.563 0.750 0.081
Cu8 0.598 0.250 0.584
Cu9 0.735 0.250 0.589
Cu10 0.765 0.750 0.089
Cu11 0.902 0.750 0.084
Cu12 0.937 0.250 0.581
Ge1 0.069 0.250 0.592
Ge2 0.102 0.750 0.085
Ge3 0.230 0.750 0.081
Ge4 0.270 0.250 0.581
Ge5 0.398 0.250 0.585
Ge6 0.431 0.750 0.092
Ge7 0.569 0.250 0.908
Ge8 0.602 0.750 0.415
Ge9 0.730 0.750 0.419
Ge10 0.770 0.250 0.919
Ge11 0.898 0.250 0.915
Ge12 0.931 0.750 0.408

Computed properties:
ΔE_f = -510 meV/atom
symmetry = Pnma
raw total energy = -11.096 eV per atom